Record 1
# Na7Ca3ZrP5SO24

Na7Ca3ZrP5SO24 after structural relaxation (PBE, Materials Project).

SG: P1 (1)
energy: -6.683 eV/atom
formation energy: -2.85 eV per atom

Cell lengths 9.3997, 9.4124, 22.7239 Å; angles 90.05, 89.97, 120.11 degrees
Last column: nearest neighbours and their distance in Å.
Positions (direct):
O 0.6347 0.4887 0.9196  1 P 1.59
O 0.6677 0.1435 0.7469  1 P 1.53
O 0.2061 0.2435 0.6964  1 P 1.55
O 0.8104 0.0154 0.7966  1 P 1.53
O 0.3441 0.8686 0.5776  1 S 1.49
O 0.2083 0.9849 0.1938  1 P 1.55
O 0.8879 0.5420 0.1415  1 P 1.53
O 0.1383 0.6541 0.0795  1 P 1.55
O 0.8314 0.8011 0.5801  1 P 1.55
O 0.4962 0.1466 0.9206  1 P 1.57
O 0.7466 0.9545 0.6890  1 P 1.55
O 0.8556 0.5142 0.7507  1 P 1.55
O 0.6558 0.1529 0.4251  1 P 1.59
O 0.5166 0.8324 0.7607  1 P 1.59
O 0.0149 0.2016 0.9119  1 P 1.53
O 0.5152 0.6409 0.8676  1 P 1.58
O 0.9844 0.2015 0.2979  1 S 1.47
O 0.9852 0.7784 0.8049  1 P 1.54
O 0.1992 0.1788 0.4164  1 P 1.54
O 0.9889 0.8134 0.4149  1 P 1.55
O 0.2001 0.1738 0.0780  1 P 1.55
O 0.3237 0.8395 0.2511  1 P 1.57
O 0.0126 0.2296 0.1918  1 S 1.48
O 0.4680 0.1195 0.6321  1 S 1.46
O 0.1379 0.4880 0.5809  1 P 1.55
O 0.4570 0.1339 0.5259  1 S 1.51
O 0.3308 0.4433 0.4733  1 P 1.53
O 0.6719 0.1518 0.0339  1 P 1.59
O 0.4817 0.1543 0.2511  1 P 1.57
O 0.3474 0.4867 0.0783  1 P 1.54
O 0.8290 0.0280 0.0786  1 P 1.55
O 0.7760 0.7931 0.1968  1 S 1.49
O 0.8572 0.3321 0.2484  1 S 1.49
O 0.2167 0.0079 0.3053  1 P 1.54
O 0.6562 0.1062 0.1441  1 P 1.53
O 0.5336 0.9049 0.3621  1 P 1.55
O 0.8089 0.9927 0.4143  1 P 1.53
O 0.2063 0.0291 0.5815  1 S 1.49
O 0.1869 0.9965 0.9124  1 P 1.54
O 0.0274 0.7841 0.6934  1 P 1.54
O 0.4778 0.3284 0.0306  1 P 1.59
O 0.5155 0.8614 0.0802  1 P 1.54
O 0.6523 0.5382 0.6397  1 P 1.53
O 0.9679 0.7971 0.0783  1 P 1.55
O 0.3695 0.4580 0.3618  1 P 1.55
O 0.4866 0.3545 0.7503  1 P 1.54
O 0.5062 0.3423 0.4226  1 P 1.60
O 0.3511 0.8677 0.8704  1 P 1.57
O 0.1287 0.6902 0.4701  1 P 1.53
O 0.8588 0.3621 0.9206  1 P 1.58
O 0.8878 0.3424 0.6437  1 P 1.53
O 0.8509 0.5214 0.0303  1 P 1.59
O 0.5505 0.8714 0.4724  1 P 1.54
O 0.1302 0.4925 0.8683  1 P 1.58
O 0.7889 0.7834 0.3035  1 S 1.48
O 0.8120 0.7971 0.9122  1 P 1.53
O 0.6811 0.5317 0.2497  1 S 1.50
O 0.8504 0.3257 0.5340  1 P 1.59
O 0.6716 0.5276 0.5292  1 P 1.60
O 0.4568 0.3485 0.1413  1 P 1.53
O 0.5171 0.6582 0.5792  1 P 1.55
O 0.5642 0.6771 0.9776  1 P 1.52
O 0.3184 0.4934 0.7592  1 P 1.60
O 0.1220 0.4442 0.9776  1 P 1.52
O 0.8434 0.5086 0.4233  1 P 1.59
O 0.5249 0.6744 0.2522  1 S 1.49
O 0.9790 0.1741 0.5812  1 P 1.55
O 0.1560 0.4707 0.2515  1 S 1.50
O 0.0922 0.6442 0.3590  1 P 1.54
O 0.3136 0.8839 0.9795  1 P 1.52
O 0.1637 0.6718 0.7591  1 P 1.59
O 0.2227 0.2176 0.8080  1 P 1.53
Na 0.9827 0.0001 0.9929  6 O 2.52-2.69
Na 0.6934 0.6790 0.4194  3 O 2.41-2.61
Na 0.3256 0.0140 0.4110  2 O 2.38-2.60
Na 0.3662 0.3525 0.2535  6 O 2.57-2.71
Na 0.6206 0.9973 0.2507  5 O 2.41-2.70
Na 0.6751 0.9564 0.5857  4 O 2.43-2.55
Na 0.3209 0.2960 0.9060  4 O 2.38-2.59
Na 0.9926 0.0164 0.4957  6 O 2.46-2.76
Na 0.9886 0.3495 0.7479  5 O 2.43-2.70
Na 0.9794 0.6779 0.9061  3 O 2.35-2.62
Na 0.2965 0.3454 0.5862  6 O 2.46-2.69
Na 0.6484 0.3019 0.8250  4 O 2.38-2.61
Na 0.2952 0.9603 0.0780  5 O 2.38-2.66
Na 0.6620 0.7010 0.0727  3 O 2.32-2.55
Na 0.3322 0.6776 0.1599  6 O 2.50-2.78
Na 0.0138 0.6484 0.2502  6 O 2.54-2.75
Na 0.0252 0.6923 0.5889  5 O 2.51-2.75
Na 0.6546 0.6444 0.7481  2 O 2.37-2.65
Na 0.3334 0.6704 0.6717  6 O 2.55-2.81
Na 0.0424 0.3392 0.0738  5 O 2.36-2.64
Na 0.6664 0.3199 0.3364  6 O 2.53-2.76
Zr 0.6806 0.3407 0.4821  6 O 2.05-2.26
Zr 0.6664 0.3281 0.9813  6 O 2.07-2.19
Zr 0.3366 0.6759 0.8196  6 O 2.08-2.16
P 0.3079 0.3190 0.7530  4 O 1.53-1.60
P 0.6682 0.0347 0.0851  4 O 1.53-1.59
P 0.9635 0.6303 0.0834  4 O 1.53-1.59
P 0.3689 0.3348 0.0830  4 O 1.53-1.59
P 0.6339 0.6575 0.9197  4 O 1.52-1.59
P 0.0309 0.3703 0.9201  4 O 1.52-1.58
P 0.3441 0.3565 0.4184  4 O 1.53-1.60
P 0.0206 0.6674 0.4165  4 O 1.53-1.59
P 0.0064 0.6910 0.7514  4 O 1.54-1.59
P 0.6887 0.9922 0.7479  4 O 1.53-1.59
P 0.3359 0.9724 0.9213  4 O 1.52-1.57
P 0.6388 0.9774 0.4184  4 O 1.53-1.59
P 0.6682 0.6341 0.5834  4 O 1.53-1.60
P 0.9663 0.3315 0.5863  4 O 1.53-1.59
P 0.3065 0.9966 0.2502  4 O 1.54-1.57
Ca 0.9969 0.0005 0.8474  6 O 2.16-2.35
Ca 0.0059 0.0096 0.3514  6 O 2.25-2.35
Ca 0.0002 0.9989 0.6572  6 O 2.31-2.50
Ca 0.3281 0.6632 0.3254  6 O 2.27-2.45
Ca 0.3384 0.6729 0.0120  6 O 2.23-2.36
Ca 0.6626 0.3293 0.1794  6 O 2.21-2.42
Ca 0.6631 0.3319 0.6857  6 O 2.25-2.30
Ca 0.3268 0.6581 0.5117  6 O 2.22-2.42
Ca 0.0060 0.9998 0.1461  6 O 2.25-2.37
S 0.6938 0.6966 0.2505  4 O 1.48-1.50
S 0.3685 0.0375 0.5801  4 O 1.46-1.51
S 0.0022 0.3071 0.2474  4 O 1.47-1.50

---

Record 2
# CaAu3

CaAu3 after structural relaxation (PBE, Materials Project).

SG: Fm-3m (225)
energy: -3.481 eV/atom
formation energy: -0.52 eV per atom

Cell lengths 4.9137, 4.9137, 4.9137 Å; angles 60.00, 60.00, 60.00 degrees
Last column: nearest neighbours and their distance in Å.
Positions (direct):
Ca 0.0000 0.0000 0.0000  8 Au 3.01
Au 0.7500 0.7500 0.7500  4 Au 3.01, 4 Ca 3.01
Au 0.5000 0.5000 0.5000  8 Au 3.01
Au 0.2500 0.2500 0.2500  4 Au 3.01, 4 Ca 3.01

---

Record 3
# SrMg6Ni

SrMg6Ni after structural relaxation (PBE, Materials Project).

SG: Amm2 (38)
energy: -2.056 eV/atom
formation energy: 0.08 eV per atom

Cell lengths 7.7758, 7.7758, 4.4852 Å; angles 90.00, 90.00, 132.56 degrees
Last column: nearest neighbours and their distance in Å.
Positions (direct):
Mg 0.6951 0.7977 0.0000  1 Ni 2.72, 4 Mg 2.90-2.99
Mg 0.3207 0.1652 0.5000  2 Ni 2.74, 3 Mg 2.90-3.04
Mg 0.8348 0.6793 0.5000  2 Ni 2.74, 3 Mg 2.90-3.04
Mg 0.6948 0.3052 0.0000  6 Mg 3.22-3.32, 2 Ni 3.38
Mg 0.2023 0.3049 0.0000  1 Ni 2.72, 4 Mg 2.90-2.99
Mg 0.8664 0.1336 0.5000  6 Mg 2.99-3.32
Ni 0.1042 0.8958 0.0000  6 Mg 2.72-2.74
Sr 0.2818 0.7182 0.5000  8 Mg 3.28-3.61, 2 Ni 3.38

---

Record 4
# K3PS4O

K3PS4O after structural relaxation (PBE, Materials Project).

SG: P2_12_12 (18)
energy: -4.327 eV/atom
formation energy: -1.04 eV per atom

Cell lengths 7.1297, 11.8088, 12.0318 Å; angles 90.00, 90.00, 90.00 degrees
Last column: nearest neighbours and their distance in Å.
Positions (direct):
S 0.8344 0.4392 0.8427  1 P 2.03
S 0.4397 0.7083 0.6957  1 P 2.04
S 0.9170 0.7469 0.3657  1 O 1.61
S 0.5603 0.2083 0.8043  1 P 2.04
S 0.5424 0.5743 0.3785  1 P 2.02
S 0.1656 0.0608 0.3427  1 P 2.03
S 0.1656 0.9392 0.6573  1 P 2.03
S 0.0830 0.7531 0.8657  1 O 1.61
S 0.4397 0.2917 0.3043  1 P 2.04
S 0.5603 0.7917 0.1957  1 P 2.04
S 0.5424 0.4257 0.6215  1 P 2.02
S 0.8344 0.5608 0.1573  1 P 2.03
S 0.0830 0.2469 0.1343  1 O 1.61
S 0.4576 0.0743 0.1215  1 P 2.02
S 0.4576 0.9257 0.8785  1 P 2.02
S 0.9170 0.2531 0.6343  1 O 1.61
P 0.7015 0.6616 0.2694  4 S 2.02-2.17
P 0.2985 0.1616 0.2306  4 S 2.02-2.17
P 0.2985 0.8384 0.7694  4 S 2.02-2.17
P 0.7015 0.3384 0.7306  4 S 2.02-2.17
O 0.1999 0.3235 0.0484  1 S 1.61
O 0.1999 0.6765 0.9516  1 S 1.61
O 0.8001 0.8235 0.4516  1 S 1.61
O 0.8001 0.1765 0.5484  1 S 1.61
K 0.6335 0.3082 0.0518  1 O 3.10, 5 S 3.15-3.43
K 0.7375 0.0131 0.3263  1 O 2.74
K 0.7375 0.9869 0.6737  1 O 2.74
K 0.1610 0.8554 0.1071  1 O 2.84, 1 S 3.13
K 0.8390 0.6446 0.6071  1 O 2.84, 1 S 3.13
K 0.3665 0.8082 0.4482  1 O 3.10, 5 S 3.15-3.43
K 0.1610 0.1446 0.8929  1 O 2.84, 1 S 3.13
K 0.3665 0.1918 0.5518  1 O 3.10, 5 S 3.15-3.43
K 0.8390 0.3554 0.3929  1 O 2.84, 1 S 3.13
K 0.2625 0.5131 0.1737  1 O 2.74
K 0.6335 0.6918 0.9482  1 O 3.10, 5 S 3.15-3.43
K 0.2625 0.4869 0.8263  1 O 2.74

---

Record 5
# NaTbEuSbO6

NaTbEuSbO6 after structural relaxation (PBE, Materials Project).

SG: F-43m (216)
energy: -7.242 eV/atom
formation energy: -2.65 eV per atom

Cell lengths 5.9315, 5.9315, 5.9315 Å; angles 60.00, 60.00, 60.00 degrees
Last column: nearest neighbours and their distance in Å.
Positions (direct):
Na 0.7500 0.7500 0.7500  12 O 2.97
O 0.2370 0.2370 0.7630  1 Sb 1.99, 1 Tb 2.21
O 0.7630 0.7630 0.2370  1 Sb 1.99, 1 Tb 2.21
O 0.2370 0.7630 0.7630  1 Sb 1.99, 1 Tb 2.21
O 0.7630 0.2370 0.7630  1 Sb 1.99, 1 Tb 2.21
O 0.7630 0.2370 0.2370  1 Sb 1.99, 1 Tb 2.21
O 0.2370 0.7630 0.2370  1 Sb 1.99, 1 Tb 2.21
Eu 0.2500 0.2500 0.2500  12 O 2.97
Tb 0.5000 0.5000 0.5000  6 O 2.21
Sb 0.0000 0.0000 0.0000  6 O 1.99

---

Record 6
# SrAg5

SrAg5 after structural relaxation (PBE, Materials Project).

SG: P6/mmm (191)
energy: -2.828 eV/atom
formation energy: -0.19 eV per atom

Cell lengths 5.7673, 5.7673, 4.6922 Å; angles 90.00, 90.00, 120.00 degrees
Last column: nearest neighbours and their distance in Å.
Positions (direct):
Ag 0.5000 0.5000 0.5000  8 Ag 2.88
Ag 0.3333 0.6667 0.0000  6 Ag 2.88
Ag 0.6667 0.3333 0.0000  6 Ag 2.88
Ag 0.0000 0.5000 0.5000  8 Ag 2.88
Ag 0.5000 0.0000 0.5000  8 Ag 2.88
Sr 0.0000 0.0000 0.0000  18 Ag 3.33-3.72

---

- Look up the energy of the third one.
  -2.056 eV/atom

---

- Among the records above, which one has the highest formation energy?
  SrMg6Ni

---

- formation energy of number 6 (SrAg5)?
  -0.19 eV per atom